Compound: H6PbC10N8O7
Source: the Materials Project database
Functional: PBE
Structure: relaxed

Unit cell a=7.4152 b=8.6558 c=12.1227 alpha=91.59 beta=97.70 gamma=90.44
Last column: nearest neighbours and their distance in Å.
Space group P-1 (No. 2)
Unique sites:
H1 0.0563 0.0589 0.1014 [2 per cell]  1 N 1.03
H2 0.1066 0.3823 0.8151 [2 per cell]  1 N 1.04
H3 0.2114 0.4146 0.0295 [2 per cell]  1 N 1.03
H4 0.2511 0.8193 0.5426 [2 per cell]  1 N 1.07
H5 0.3832 0.8405 0.9256 [2 per cell]  1 N 1.03
H6 0.4020 0.1406 0.6586 [2 per cell]  1 N 1.03
Pb1 0.3059 0.3517 0.4053 [2 per cell]  3 O 2.28-2.55
C1 0.0236 0.8047 0.2888 [2 per cell]  1 N 1.37, 2 C 1.41-1.43
C2 0.0519 0.1712 0.8953 [2 per cell]  1 O 1.25, 2 N 1.39
C3 0.0727 0.7508 0.3993 [2 per cell]  1 O 1.24
C4 0.0768 0.9545 0.2618 [2 per cell]  2 N 1.32-1.38, 1 C 1.41
C5 0.2128 0.0083 0.4386 [2 per cell]  1 O 1.27, 2 N 1.37-1.38
C6 0.2661 0.6143 0.9388 [2 per cell]  1 O 1.24
C7 0.3524 0.6023 0.1255 [2 per cell]  2 N 1.33-1.37, 1 C 1.41
C8 0.4106 0.7455 0.0899 [2 per cell]  1 N 1.39, 2 C 1.41-1.43
C9 0.4755 0.6455 0.3054 [2 per cell]  1 O 1.27, 2 N 1.36-1.39
C10 0.4909 0.1489 0.8309 [2 per cell]  1 O 1.25
N1 0.0280 0.9666 0.1489 [2 per cell]  1 H 1.03
N2 0.0572 0.2687 0.8067 [2 per cell]  1 H 1.04
N3 0.1616 0.0585 0.3326 [2 per cell]  2 C 1.32-1.37
N4 0.1742 0.8608 0.4687 [2 per cell]  1 H 1.07
N5 0.2658 0.5245 0.0328 [2 per cell]  1 H 1.03
N6 0.3573 0.7510 0.9761 [2 per cell]  1 H 1.03
N7 0.3783 0.5502 0.2284 [2 per cell]  2 C 1.33-1.36
N8 0.4673 0.2097 0.7231 [2 per cell]  1 H 1.03
O1 0.0362 0.6208 0.4318 [2 per cell]  1 C 1.24
O2 0.1056 0.2034 0.9957 [2 per cell]  1 C 1.25
O3 0.1976 0.5762 0.8428 [2 per cell]  1 C 1.24
O4 0.2987 0.1011 0.5103 [2 per cell]  1 C 1.27
O5 0.4276 0.0192 0.8486 [2 per cell]  1 C 1.25
O6 0.4321 0.7613 0.6325 [2 per cell]  1 H 1.70
O7 0.4890 0.3996 0.5952 [2 per cell]  1 C 1.27

Values from the calculation:
The formation energy is -0.55 eV/atom.